First-principles (GGA-PBE) data for crystalline InCuNiSe3 at its relaxed geometry, as listed in the Materials Project.

Unit cell a=8.0245 b=24.1348 c=11.3913 alpha=90.00 beta=90.07 gamma=90.00
Space group Cc (No. 9)
Symmetry-distinct sites (fractional):
In  0.0000  0.0800  0.0000 [4 per cell]
In  0.0084  0.4171  0.9910 [4 per cell]
In  0.2502  0.1662  0.7447 [4 per cell]
In  0.4925  0.2527  0.9947 [4 per cell]
Cu  0.9999  0.4195  0.4984 [4 per cell]
Cu  0.0073  0.2527  0.9947 [4 per cell]
Cu  0.2506  0.1665  0.2454 [4 per cell]
Cu  0.4928  0.4169  0.9925 [4 per cell]
Ni  0.2496  0.3365  0.7471 [4 per cell]
Ni  0.2501  0.4996  0.2452 [4 per cell]
Ni  0.2507  0.0022  0.2513 [4 per cell]
Ni  0.2507  0.3343  0.2372 [4 per cell]
Se  0.0020  0.4937  0.3538 [4 per cell]
Se  0.0056  0.3277  0.8586 [4 per cell]
Se  0.0252  0.3401  0.3700 [4 per cell]
Se  0.2324  0.0738  0.6212 [4 per cell]
Se  0.2322  0.2513  0.1326 [4 per cell]
Se  0.2319  0.4183  0.6378 [4 per cell]
Se  0.2679  0.2590  0.6230 [4 per cell]
Se  0.2691  0.0819  0.1325 [4 per cell]
Se  0.2692  0.4178  0.1358 [4 per cell]
Se  0.4764  0.3281  0.3697 [4 per cell]
Se  0.4948  0.3404  0.8585 [4 per cell]
Se  0.4983  0.4939  0.8533 [4 per cell]

Summary:
- Total DFT energy (no corrections): -4.157 eV per atom
- ΔH_f (0 K): -0.540 eV per atom